(1)
Material: MnHO2
Method: DFT, GGA+U
State: relaxed

```
data_MnHO2
_chemical_formula_sum 'Mn8 H8 O16'
_cell_length_a 6.076
_cell_length_b 6.102
_cell_length_c 9.002
_cell_angle_alpha 90.00
_cell_angle_beta 90.00
_cell_angle_gamma 90.00
_space_group_name_H-M_alt 'P 1'
_space_group_IT_number 1
_space_group_name_Hall 'P 1'
loop_
_atom_site_label
_atom_site_fract_x
_atom_site_fract_y
_atom_site_fract_z
_atom_site_occupancy
H1 0.045 0.329 0.011 1
H2 0.955 0.829 0.489 1
H3 0.426 0.715 0.739 1
H4 0.074 0.285 0.239 1
H5 0.455 0.671 0.511 1
H6 0.574 0.215 0.761 1
H7 0.926 0.785 0.261 1
H8 0.545 0.171 0.989 1
Mn1 0.000 0.471 0.750 1
Mn2 0.781 0.749 0.001 1
Mn3 0.000 0.971 0.750 1
Mn4 0.719 0.251 0.501 1
Mn5 0.500 0.029 0.250 1
Mn6 0.281 0.751 0.999 1
Mn7 0.219 0.249 0.499 1
Mn8 0.500 0.529 0.250 1
O1 0.029 0.477 0.970 1
O2 0.775 0.772 0.222 1
O3 0.471 0.523 0.470 1
O4 0.696 0.277 0.279 1
O5 0.971 0.446 0.529 1
O6 0.275 0.728 0.778 1
O7 0.225 0.272 0.278 1
O8 0.029 0.946 0.971 1
O9 0.804 0.723 0.779 1
O10 0.471 0.054 0.471 1
O11 0.196 0.223 0.721 1
O12 0.529 0.023 0.030 1
O13 0.971 0.977 0.530 1
O14 0.725 0.228 0.722 1
O15 0.304 0.777 0.221 1
O16 0.529 0.554 0.029 1
```

(2)
Material: Mn2HO4
Method: DFT, GGA+U
State: relaxed

Energy relative to the lowest polymorph listed for this composition (meV/atom): 23

```
data_Mn2HO4
_chemical_formula_sum 'Mn16 H8 O32'
_cell_length_a 6.065
_cell_length_b 10.192
_cell_length_c 10.212
_cell_angle_alpha 90.01
_cell_angle_beta 90.05
_cell_angle_gamma 89.98
_space_group_name_H-M_alt 'P 1'
_space_group_IT_number 1
_space_group_name_Hall 'P 1'
loop_
_atom_site_label
_atom_site_fract_x
_atom_site_fract_y
_atom_site_fract_z
_atom_site_occupancy
H1 0.772 0.579 0.635 1
H2 0.269 0.366 0.578 1
H3 0.975 0.082 0.133 1
H4 0.753 0.423 0.363 1
H5 0.981 0.920 0.867 1
H6 0.480 0.131 0.917 1
H7 0.272 0.635 0.422 1
H8 0.481 0.862 0.077 1
Mn1 0.753 0.666 0.148 1
Mn2 0.496 0.351 0.166 1
Mn3 0.746 0.853 0.659 1
Mn4 0.254 0.852 0.666 1
Mn5 0.248 0.341 0.853 1
Mn6 0.498 0.648 0.834 1
Mn7 0.997 0.834 0.352 1
Mn8 0.006 0.647 0.841 1
Mn9 0.743 0.148 0.341 1
Mn10 0.998 0.167 0.648 1
Mn11 0.505 0.841 0.352 1
Mn12 0.252 0.149 0.334 1
Mn13 0.506 0.160 0.647 1
Mn14 0.005 0.352 0.161 1
Mn15 0.245 0.658 0.148 1
Mn16 0.755 0.334 0.853 1
O1 0.007 0.210 0.840 1
O2 0.751 0.334 0.045 1
O3 0.262 0.300 0.647 1
O4 0.989 0.851 0.800 1
O5 0.984 0.150 0.200 1
O6 0.001 0.540 0.163 1
O7 0.246 0.660 0.711 1
O8 0.502 0.163 0.460 1
O9 0.997 0.167 0.456 1
O10 0.501 0.456 0.837 1
O11 0.501 0.838 0.541 1
O12 0.749 0.959 0.338 1
O13 0.488 0.799 0.148 1
O14 0.751 0.043 0.662 1
O15 0.251 0.956 0.335 1
O16 0.246 0.341 0.290 1
O17 0.003 0.460 0.841 1
O18 0.251 0.662 0.959 1
O19 0.764 0.648 0.701 1
O20 0.745 0.710 0.340 1
O21 0.999 0.835 0.544 1
O22 0.252 0.045 0.664 1
O23 0.006 0.789 0.160 1
O24 0.753 0.666 0.956 1
O25 0.755 0.352 0.298 1
O26 0.263 0.700 0.352 1
O27 0.499 0.543 0.164 1
O28 0.506 0.840 0.789 1
O29 0.252 0.334 0.044 1
O30 0.746 0.291 0.660 1
O31 0.503 0.160 0.211 1
O32 0.489 0.199 0.850 1
```

(3)
Material: MnH2O2
Method: DFT, GGA+U
State: relaxed

Piezoelectric modulus e_max (C/m²): 1.41

```
data_MnH2O2
_chemical_formula_sum 'Mn2 H4 O4'
_cell_length_a 3.376
_cell_length_b 9.592
_cell_length_c 3.375
_cell_angle_alpha 90.96
_cell_angle_beta 60.03
_cell_angle_gamma 89.79
_space_group_name_H-M_alt 'P 1'
_space_group_IT_number 1
_space_group_name_Hall 'P 1'
loop_
_atom_site_label
_atom_site_fract_x
_atom_site_fract_y
_atom_site_fract_z
_atom_site_occupancy
Mn1 0.905 0.989 0.012 1
Mn2 0.906 0.489 0.012 1
O1 0.578 0.876 0.669 1
O2 0.579 0.376 0.669 1
O3 0.233 0.602 0.356 1
O4 0.233 0.102 0.356 1
H1 0.246 0.703 0.360 1
H2 0.598 0.775 0.665 1
H3 0.598 0.275 0.665 1
H4 0.246 0.203 0.360 1
```

(4)
Material: MnHO2
Method: DFT, GGA+U
State: relaxed

```
data_MnHO2
_chemical_formula_sum 'Mn2 H2 O4'
_cell_length_a 3.237
_cell_length_b 5.260
_cell_length_c 4.781
_cell_angle_alpha 99.43
_cell_angle_beta 105.92
_cell_angle_gamma 84.03
_space_group_name_H-M_alt 'P 1'
_space_group_IT_number 1
_space_group_name_Hall 'P 1'
loop_
_atom_site_label
_atom_site_fract_x
_atom_site_fract_y
_atom_site_fract_z
_atom_site_occupancy
O1 0.431 0.778 0.783 1
O2 0.931 0.278 0.783 1
O3 0.182 0.695 0.232 1
O4 0.682 0.195 0.232 1
H1 0.321 0.742 0.551 1
H2 0.821 0.242 0.551 1
Mn1 0.064 0.989 0.018 1
Mn2 0.564 0.489 0.018 1
```

(5)
Material: MnH2O2
Method: DFT, GGA+U
State: relaxed

Piezoelectric modulus e_max (C/m²): 1.19

```
data_MnH2O2
_chemical_formula_sum 'Mn1 H2 O2'
_cell_length_a 3.370
_cell_length_b 3.375
_cell_length_c 5.005
_cell_angle_alpha 97.62
_cell_angle_beta 87.95
_cell_angle_gamma 119.91
_space_group_name_H-M_alt 'P 1'
_space_group_IT_number 1
_space_group_name_Hall 'P 1'
loop_
_atom_site_label
_atom_site_fract_x
_atom_site_fract_y
_atom_site_fract_z
_atom_site_occupancy
H1 0.845 0.449 0.384 1
H2 0.430 0.581 0.569 1
O1 0.375 0.620 0.761 1
O2 0.737 0.406 0.199 1
Mn1 0.052 0.006 0.977 1
```

(6)
Material: Mn2HO4
Method: DFT, GGA+U
State: relaxed

Energy relative to the lowest polymorph listed for this composition (meV/atom): 0

```
data_Mn2HO4
_chemical_formula_sum 'Mn8 H4 O16'
_cell_length_a 5.762
_cell_length_b 6.366
_cell_length_c 8.355
_cell_angle_alpha 90.00
_cell_angle_beta 90.00
_cell_angle_gamma 90.00
_space_group_name_H-M_alt 'P 1'
_space_group_IT_number 1
_space_group_name_Hall 'P 1'
loop_
_atom_site_label
_atom_site_fract_x
_atom_site_fract_y
_atom_site_fract_z
_atom_site_occupancy
O1 0.462 0.548 0.233 1
O2 0.299 0.250 0.979 1
O3 0.462 0.952 0.233 1
O4 0.038 0.452 0.733 1
O5 0.219 0.750 0.013 1
O6 0.781 0.250 0.987 1
O7 0.701 0.750 0.021 1
O8 0.281 0.250 0.513 1
O9 0.538 0.452 0.767 1
O10 0.962 0.952 0.267 1
O11 0.962 0.548 0.267 1
O12 0.038 0.048 0.733 1
O13 0.799 0.250 0.521 1
O14 0.538 0.048 0.767 1
O15 0.201 0.750 0.479 1
O16 0.719 0.750 0.487 1
Mn1 0.291 0.250 0.746 1
Mn2 0.000 0.500 0.500 1
Mn3 0.500 0.500 0.000 1
Mn4 0.500 0.000 0.000 1
Mn5 0.000 0.000 0.500 1
Mn6 0.791 0.250 0.754 1
Mn7 0.709 0.750 0.254 1
Mn8 0.209 0.750 0.246 1
H1 0.065 0.750 0.961 1
H2 0.935 0.250 0.039 1
H3 0.435 0.250 0.461 1
H4 0.565 0.750 0.539 1
```

(7)
Material: MnHO2
Method: DFT, GGA+U
State: relaxed

```
data_MnHO2
_chemical_formula_sum 'Mn4 H4 O8'
_cell_length_a 5.366
_cell_length_b 5.375
_cell_length_c 5.383
_cell_angle_alpha 66.82
_cell_angle_beta 90.00
_cell_angle_gamma 90.00
_space_group_name_H-M_alt 'P 1'
_space_group_IT_number 1
_space_group_name_Hall 'P 1'
loop_
_atom_site_label
_atom_site_fract_x
_atom_site_fract_y
_atom_site_fract_z
_atom_site_occupancy
O1 0.874 0.373 0.878 1
O2 0.123 0.127 0.630 1
O3 0.374 0.627 0.622 1
O4 0.623 0.873 0.870 1
O5 0.626 0.373 0.378 1
O6 0.126 0.627 0.122 1
O7 0.877 0.873 0.370 1
O8 0.377 0.127 0.130 1
H1 0.523 0.779 0.767 1
H2 0.477 0.221 0.233 1
H3 0.977 0.779 0.267 1
H4 0.023 0.221 0.733 1
Mn1 0.988 0.262 0.248 1
Mn2 0.512 0.262 0.748 1
Mn3 0.488 0.738 0.252 1
Mn4 0.012 0.738 0.752 1
```

(8)
Material: Mn2HO4
Method: DFT, GGA+U
State: relaxed

Energy relative to the lowest polymorph listed for this composition (meV/atom): 15

```
data_Mn2HO4
_chemical_formula_sum 'Mn12 H6 O24'
_cell_length_a 5.472
_cell_length_b 5.472
_cell_length_c 14.565
_cell_angle_alpha 88.97
_cell_angle_beta 88.97
_cell_angle_gamma 66.71
_space_group_name_H-M_alt 'P 1'
_space_group_IT_number 1
_space_group_name_Hall 'P 1'
loop_
_atom_site_label
_atom_site_fract_x
_atom_site_fract_y
_atom_site_fract_z
_atom_site_occupancy
Mn1 0.491 0.745 0.150 1
Mn2 0.249 0.001 0.344 1
Mn3 0.505 0.254 0.999 1
Mn4 0.001 0.249 0.844 1
Mn5 0.237 0.996 0.650 1
Mn6 0.764 0.511 0.350 1
Mn7 0.745 0.491 0.650 1
Mn8 0.747 0.002 0.498 1
Mn9 0.511 0.764 0.850 1
Mn10 0.002 0.747 0.998 1
Mn11 0.996 0.237 0.150 1
Mn12 0.254 0.505 0.499 1
O1 0.337 0.087 0.217 1
O2 0.891 0.637 0.552 1
O3 0.868 0.114 0.948 1
O4 0.856 0.610 0.211 1
O5 0.629 0.879 0.385 1
O6 0.876 0.153 0.289 1
O7 0.386 0.131 0.886 1
O8 0.153 0.876 0.789 1
O9 0.121 0.862 0.112 1
O10 0.879 0.629 0.885 1
O11 0.610 0.856 0.711 1
O12 0.634 0.384 0.107 1
O13 0.087 0.337 0.717 1
O14 0.389 0.147 0.549 1
O15 0.862 0.121 0.612 1
O16 0.623 0.408 0.784 1
O17 0.114 0.868 0.448 1
O18 0.131 0.386 0.386 1
O19 0.408 0.623 0.284 1
O20 0.384 0.634 0.607 1
O21 0.612 0.363 0.448 1
O22 0.147 0.389 0.049 1
O23 0.363 0.612 0.948 1
O24 0.637 0.891 0.052 1
H1 0.310 0.510 0.304 1
H2 0.056 0.764 0.811 1
H3 0.510 0.310 0.804 1
H4 0.962 0.711 0.186 1
H5 0.711 0.962 0.686 1
H6 0.764 0.056 0.311 1
```

(9)
Material: Mn8HO16
Method: DFT, GGA+U
State: relaxed

```
data_Mn8HO16
_chemical_formula_sum 'Mn16 H2 O32'
_cell_length_a 5.916
_cell_length_b 9.934
_cell_length_c 14.095
_cell_angle_alpha 45.18
_cell_angle_beta 90.00
_cell_angle_gamma 90.00
_space_group_name_H-M_alt 'P 1'
_space_group_IT_number 1
_space_group_name_Hall 'P 1'
loop_
_atom_site_label
_atom_site_fract_x
_atom_site_fract_y
_atom_site_fract_z
_atom_site_occupancy
O1 0.121 0.616 0.342 1
O2 0.378 0.619 0.838 1
O3 0.383 0.366 0.842 1
O4 0.113 0.375 0.661 1
O5 0.372 0.381 0.162 1
O6 0.124 0.713 0.957 1
O7 0.876 0.362 0.843 1
O8 0.642 0.657 0.654 1
O9 0.628 0.381 0.662 1
O10 0.877 0.944 0.207 1
O11 0.623 0.949 0.705 1
O12 0.376 0.712 0.455 1
O13 0.124 0.362 0.343 1
O14 0.624 0.712 0.955 1
O15 0.628 0.289 0.043 1
O16 0.372 0.289 0.543 1
O17 0.879 0.616 0.842 1
O18 0.377 0.949 0.205 1
O19 0.622 0.619 0.338 1
O20 0.871 0.049 0.794 1
O21 0.358 0.657 0.154 1
O22 0.371 0.050 0.794 1
O23 0.129 0.049 0.294 1
O24 0.131 0.285 0.043 1
O25 0.876 0.637 0.157 1
O26 0.123 0.944 0.707 1
O27 0.869 0.285 0.543 1
O28 0.887 0.375 0.161 1
O29 0.124 0.637 0.657 1
O30 0.617 0.366 0.342 1
O31 0.876 0.713 0.457 1
O32 0.629 0.050 0.294 1
Mn1 0.129 0.483 0.849 1
Mn2 0.883 0.179 0.165 1
Mn3 0.629 0.482 0.855 1
Mn4 0.126 0.817 0.334 1
Mn5 0.627 0.818 0.333 1
Mn6 0.373 0.818 0.833 1
Mn7 0.622 0.182 0.666 1
Mn8 0.874 0.817 0.834 1
Mn9 0.117 0.179 0.665 1
Mn10 0.871 0.483 0.349 1
Mn11 0.120 0.513 0.150 1
Mn12 0.372 0.516 0.648 1
Mn13 0.371 0.482 0.355 1
Mn14 0.880 0.513 0.650 1
Mn15 0.378 0.182 0.166 1
Mn16 0.628 0.516 0.148 1
H1 0.662 0.793 0.597 1
H2 0.338 0.793 0.097 1
```

(10)
Material: Mn2HO4
Method: DFT, GGA+U
State: relaxed

Energy relative to the lowest polymorph listed for this composition (meV/atom): 8

```
data_Mn2HO4
_chemical_formula_sum 'Mn4 H2 O8'
_cell_length_a 2.961
_cell_length_b 4.749
_cell_length_c 9.909
_cell_angle_alpha 90.00
_cell_angle_beta 90.00
_cell_angle_gamma 90.00
_space_group_name_H-M_alt 'P 1'
_space_group_IT_number 1
_space_group_name_Hall 'P 1'
loop_
_atom_site_label
_atom_site_fract_x
_atom_site_fract_y
_atom_site_fract_z
_atom_site_occupancy
Mn1 0.500 0.706 0.860 1
Mn2 0.000 0.778 0.138 1
Mn3 0.000 0.222 0.638 1
Mn4 0.500 0.294 0.360 1
O1 0.000 0.493 0.458 1
O2 0.000 0.907 0.783 1
O3 0.500 0.415 0.724 1
O4 0.000 0.093 0.283 1
O5 0.500 0.060 0.527 1
O6 0.500 0.585 0.224 1
O7 0.500 0.940 0.027 1
O8 0.000 0.507 0.958 1
H1 0.000 0.298 0.960 1
H2 0.000 0.702 0.460 1
```

(11)
Material: MnHO2
Method: DFT, GGA+U
State: relaxed

```
data_MnHO2
_chemical_formula_sum 'Mn8 H8 O16'
_cell_length_a 6.258
_cell_length_b 6.117
_cell_length_c 8.794
_cell_angle_alpha 89.32
_cell_angle_beta 90.00
_cell_angle_gamma 90.00
_space_group_name_H-M_alt 'P 1'
_space_group_IT_number 1
_space_group_name_Hall 'P 1'
loop_
_atom_site_label
_atom_site_fract_x
_atom_site_fract_y
_atom_site_fract_z
_atom_site_occupancy
H1 0.738 0.575 0.004 1
H2 0.729 0.097 0.474 1
H3 0.869 0.968 0.286 1
H4 0.148 0.450 0.768 1
H5 0.238 0.425 0.996 1
H6 0.369 0.032 0.714 1
H7 0.229 0.903 0.526 1
H8 0.648 0.550 0.232 1
Mn1 0.753 0.730 0.745 1
Mn2 0.253 0.270 0.255 1
Mn3 0.023 0.496 0.496 1
Mn4 0.754 0.228 0.751 1
Mn5 0.477 0.004 0.001 1
Mn6 0.254 0.772 0.249 1
Mn7 0.977 0.996 0.999 1
Mn8 0.523 0.504 0.504 1
O1 0.233 0.271 0.028 1
O2 0.995 0.010 0.227 1
O3 0.061 0.519 0.272 1
O4 0.446 0.020 0.227 1
O5 0.495 0.990 0.773 1
O6 0.272 0.305 0.481 1
O7 0.772 0.695 0.519 1
O8 0.733 0.729 0.972 1
O9 0.946 0.980 0.773 1
O10 0.232 0.807 0.021 1
O11 0.761 0.236 0.522 1
O12 0.509 0.528 0.278 1
O13 0.261 0.764 0.478 1
O14 0.009 0.472 0.722 1
O15 0.732 0.193 0.979 1
O16 0.561 0.481 0.728 1
```

(12)
Material: Mn3HO6
Method: DFT, GGA+U
State: relaxed

```
data_Mn3HO6
_chemical_formula_sum 'Mn3 H1 O6'
_cell_length_a 7.242
_cell_length_b 7.242
_cell_length_c 4.626
_cell_angle_alpha 87.96
_cell_angle_beta 87.96
_cell_angle_gamma 23.88
_space_group_name_H-M_alt 'P 1'
_space_group_IT_number 1
_space_group_name_Hall 'P 1'
loop_
_atom_site_label
_atom_site_fract_x
_atom_site_fract_y
_atom_site_fract_z
_atom_site_occupancy
O1 0.774 0.774 0.729 1
O2 0.100 0.100 0.683 1
O3 0.899 0.899 0.305 1
O4 0.231 0.231 0.295 1
O5 0.565 0.565 0.180 1
O6 0.438 0.438 0.813 1
Mn1 0.002 0.002 0.994 1
Mn2 0.655 0.655 0.476 1
Mn3 0.348 0.348 0.519 1
H1 0.769 0.769 0.942 1
```

Computed E (MP2020), in the same sequence as the records: -6.82, -7.66, -6.73, -7.34, -6.71, -7.68, -7.34, -7.67, -8.02, -7.68, -7.29, -7.81 eV per atom.
Computed energy of formation, in the same sequence as the records: -1.21, -1.73, -1.56, -1.73, -1.54, -1.75, -1.73, -1.74, -1.78, -1.75, -1.68, -1.76 eV per atom.